(1)
The following is a PBE-GGA calculation of an optimized crystal structure of Tl2SnGe3O9, from the Materials Project database.

Lattice parameters (Å, degrees): 12.357 12.357 10.777 90.00 90.00 120.00
Element x y z (fractional)
Tl1 0.001 0.362 0.476
Tl2 0.001 0.639 0.976
Tl3 0.361 0.362 0.976
Tl4 0.361 0.999 0.476
Tl5 0.362 0.001 0.024
Tl6 0.362 0.361 0.524
Tl7 0.638 0.639 0.476
Tl8 0.638 0.999 0.976
Tl9 0.639 0.001 0.524
Tl10 0.639 0.638 0.024
Tl11 0.999 0.361 0.024
Tl12 0.999 0.638 0.524
Sn1 0.000 0.000 0.000
Sn2 0.000 0.000 0.500
Sn3 0.333 0.667 0.006
Sn4 0.333 0.667 0.506
Sn5 0.667 0.333 0.494
Sn6 0.667 0.333 0.994
Ge1 0.000 0.177 0.250
Ge2 0.000 0.823 0.750
Ge3 0.165 0.448 0.761
Ge4 0.165 0.717 0.261
Ge5 0.177 0.000 0.250
Ge6 0.177 0.177 0.750
Ge7 0.283 0.448 0.261
Ge8 0.283 0.835 0.761
Ge9 0.448 0.165 0.739
Ge10 0.448 0.283 0.239
Ge11 0.552 0.717 0.761
Ge12 0.552 0.835 0.261
Ge13 0.717 0.165 0.239
Ge14 0.717 0.552 0.739
Ge15 0.823 0.000 0.750
Ge16 0.823 0.823 0.250
Ge17 0.835 0.283 0.739
Ge18 0.835 0.552 0.239
O1 0.000 0.378 0.750
O2 0.000 0.622 0.250
O3 0.068 0.156 0.117
O4 0.068 0.912 0.617
O5 0.088 0.156 0.617
O6 0.088 0.932 0.117
O7 0.127 0.329 0.303
O8 0.127 0.798 0.803
O9 0.156 0.068 0.383
O10 0.156 0.088 0.883
O11 0.189 0.549 0.887
O12 0.189 0.640 0.387
O13 0.202 0.329 0.803
O14 0.202 0.873 0.303
O15 0.227 0.506 0.612
O16 0.227 0.721 0.112
O17 0.279 0.506 0.112
O18 0.279 0.773 0.612
O19 0.329 0.127 0.197
O20 0.329 0.202 0.697
O21 0.360 0.549 0.387
O22 0.360 0.811 0.887
O23 0.378 0.000 0.750
O24 0.378 0.378 0.250
O25 0.451 0.640 0.887
O26 0.451 0.811 0.387
O27 0.494 0.721 0.612
O28 0.494 0.773 0.112
O29 0.506 0.227 0.888
O30 0.506 0.279 0.388
O31 0.549 0.189 0.613
O32 0.549 0.360 0.113
O33 0.622 0.000 0.250
O34 0.622 0.622 0.750
O35 0.640 0.189 0.113
O36 0.640 0.451 0.613
O37 0.671 0.798 0.303
O38 0.671 0.873 0.803
O39 0.721 0.227 0.388
O40 0.721 0.494 0.888
O41 0.773 0.279 0.888
O42 0.773 0.494 0.388
O43 0.798 0.127 0.697
O44 0.798 0.671 0.197
O45 0.811 0.360 0.613
O46 0.811 0.451 0.113
O47 0.844 0.912 0.117
O48 0.844 0.932 0.617
O49 0.873 0.202 0.197
O50 0.873 0.671 0.697
O51 0.912 0.068 0.883
O52 0.912 0.844 0.383
O53 0.932 0.088 0.383
O54 0.932 0.844 0.883

Formation energy from the elements in kJ/mol of atoms: -177.01
MP2020-corrected energy in eV/atom: -6.310
Magnetic moment in Bohr magnetons per cell: 0.0
Space-group type: P-3c1 (165)

=====

(2)
The following is a PBE-GGA calculation of an optimized crystal structure of ZnSnGe2O6, from the Materials Project database.

Lattice parameters (Å, degrees): 10.848 9.489 5.469 90.00 97.89 90.00
Element x y z (fractional)
Zn1 0.198 0.020 0.308
Zn2 0.198 0.480 0.808
Zn3 0.802 0.520 0.192
Zn4 0.802 0.980 0.692
Sn1 0.255 0.115 0.758
Sn2 0.255 0.385 0.258
Sn3 0.745 0.615 0.742
Sn4 0.745 0.885 0.242
Ge1 0.070 0.678 0.299
Ge2 0.070 0.822 0.799
Ge3 0.492 0.652 0.351
Ge4 0.492 0.848 0.851
Ge5 0.508 0.152 0.149
Ge6 0.508 0.348 0.649
Ge7 0.930 0.178 0.201
Ge8 0.930 0.322 0.701
O1 0.090 0.193 0.267
O2 0.090 0.307 0.767
O3 0.126 0.673 0.996
O4 0.126 0.827 0.496
O5 0.147 0.536 0.462
O6 0.147 0.964 0.962
O7 0.334 0.167 0.135
O8 0.334 0.333 0.635
O9 0.433 0.021 0.798
O10 0.433 0.479 0.298
O11 0.433 0.726 0.051
O12 0.433 0.774 0.551
O13 0.567 0.226 0.449
O14 0.567 0.274 0.949
O15 0.567 0.521 0.702
O16 0.567 0.979 0.202
O17 0.666 0.667 0.365
O18 0.666 0.833 0.865
O19 0.853 0.036 0.038
O20 0.853 0.464 0.538
O21 0.874 0.173 0.504
O22 0.874 0.327 0.004
O23 0.910 0.693 0.233
O24 0.910 0.807 0.733

Formation energy from the elements in kJ/mol of atoms: -172.64
Offset from the most stable computed form in eV/atom: 0.0904
MP2020-corrected energy in eV/atom: -6.210
Magnetic moment in Bohr magnetons per cell: 0.0
Space-group type: P2_1/c (14)

=====

(3)
The following is a PBE-GGA calculation of an optimized crystal structure of ZnSnGe2O6, from the Materials Project database.

Lattice parameters (Å, degrees): 7.476 7.476 5.677 103.31 103.31 88.06
Element x y z (fractional)
Zn1 0.245 0.755 0.750
Zn2 0.755 0.245 0.250
Sn1 0.124 0.876 0.250
Sn2 0.876 0.124 0.750
Ge1 0.215 0.388 0.274
Ge2 0.388 0.215 0.774
Ge3 0.612 0.785 0.226
Ge4 0.785 0.612 0.726
O1 0.007 0.261 0.174
O2 0.185 0.625 0.402
O3 0.261 0.007 0.674
O4 0.304 0.381 0.003
O5 0.375 0.815 0.098
O6 0.381 0.304 0.503
O7 0.619 0.696 0.497
O8 0.625 0.185 0.902
O9 0.696 0.619 0.997
O10 0.739 0.993 0.326
O11 0.815 0.375 0.598
O12 0.993 0.739 0.826

Formation energy from the elements in kJ/mol of atoms: -181.37
Offset from the most stable computed form in eV/atom: 0.0000
MP2020-corrected energy in eV/atom: -6.300
Magnetic moment in Bohr magnetons per cell: 0.0
Space-group type: C2/c (15)